(1)
The following is a PBE calculation of an optimized crystal structure of Cu7As6Pb2O24, from Materials Project.

Properties
ΔH_f (0 K) ... -1.4147 eV/atom
ρ ... 5.52 Mg/m³

a = 5.2453 Å, b = 8.5050 Å, c = 11.4310 Å
α = 90.57°, β = 90.86°, γ = 93.26°
Closest atoms and distances in Å follow each position.
Positions (direct):
1 Cu 0.0000 0.0000 0.0000  4 O 1.93-1.98
2 Cu 0.0000 0.5000 0.5000  4 O 1.94-2.00
3 Cu 0.4675 0.4204 0.3194  5 O 1.95-2.17
4 Cu 0.4815 0.7829 0.1659  4 O 1.94-2.16
5 Cu 0.5000 0.5000 0.0000  4 O 1.98-1.99
6 Cu 0.5185 0.2171 0.8341  4 O 1.94-2.16
7 Cu 0.5325 0.5796 0.6806  5 O 1.95-2.17
8 As 0.0154 0.4202 0.7794  4 O 1.71-1.77
9 As 0.4656 0.7702 0.4480  4 O 1.71-1.77
10 As 0.4758 0.8403 0.8854  4 O 1.71-1.76
11 As 0.5242 0.1597 0.1146  4 O 1.71-1.76
12 As 0.5344 0.2298 0.5520  4 O 1.71-1.77
13 As 0.9846 0.5798 0.2206  4 O 1.71-1.77
14 Pb 0.0014 0.9612 0.6684  6 O 2.50-2.70
15 Pb 0.9986 0.0388 0.3316  6 O 2.50-2.70
16 O 0.1254 0.7701 0.2252  1 As 1.74
17 O 0.1728 0.4804 0.6496  1 As 1.77, 1 Cu 1.94
18 O 0.2043 0.1033 0.1233  1 As 1.72
19 O 0.2102 0.4503 0.1847  1 As 1.71
20 O 0.2304 0.8922 0.4861  1 As 1.72
21 O 0.2686 0.4022 0.8771  1 As 1.74
22 O 0.3026 0.0095 0.8988  1 As 1.75
23 O 0.3098 0.2519 0.4441  1 As 1.71
24 O 0.3142 0.5818 0.4183  1 As 1.77, 1 Cu 1.98
25 O 0.3730 0.7552 0.7559  1 As 1.71
26 O 0.3837 0.7176 0.0018  1 As 1.76
27 O 0.3885 0.1600 0.6786  1 As 1.74, 1 Cu 1.94
28 O 0.6115 0.8400 0.3214  1 As 1.74, 1 Cu 1.94
29 O 0.6163 0.2824 0.9982  1 As 1.76
30 O 0.6270 0.2448 0.2441  1 As 1.71
31 O 0.6858 0.4182 0.5817  1 As 1.77, 1 Cu 1.98
32 O 0.6902 0.7481 0.5559  1 As 1.71
33 O 0.6974 0.9905 0.1012  1 As 1.75
34 O 0.7314 0.5978 0.1229  1 As 1.74
35 O 0.7696 0.1078 0.5139  1 As 1.72
36 O 0.7898 0.5497 0.8153  1 As 1.71
37 O 0.7957 0.8967 0.8767  1 As 1.72
38 O 0.8272 0.5196 0.3504  1 As 1.77, 1 Cu 1.94
39 O 0.8746 0.2299 0.7748  1 As 1.74

(2)
The following is a PBE calculation of an optimized crystal structure of Cu2As2PbO10, from Materials Project.

Properties
ΔH_f (0 K) ... -1.1823 eV/atom
ρ ... 5.25 Mg/m³

a = 5.5791 Å, b = 5.5791 Å, c = 8.1647 Å
α = 113.98°, β = 113.98°, γ = 66.52°
Closest atoms and distances in Å follow each position.
Positions (direct):
1 Cu 0.0000 0.5000 0.0000  4 O 1.81-1.92
2 Cu 0.5000 0.0000 0.0000  4 O 1.81-1.92
3 As 0.0763 0.0763 0.2797  4 O 1.69-1.76
4 As 0.9237 0.9237 0.7203  4 O 1.69-1.76
5 Pb 0.5000 0.5000 0.5000  6 O 2.60-2.70
6 O 0.1784 0.1784 0.1510  1 As 1.73
7 O 0.1885 0.7192 0.2297  1 As 1.76, 1 Cu 1.92
8 O 0.2148 0.2148 0.5098  1 As 1.69
9 O 0.2808 0.8115 0.7703  1 As 1.76, 1 Cu 1.92
10 O 0.3173 0.3173 0.9384  2 Cu 1.81
11 O 0.6827 0.6827 0.0616  2 Cu 1.81
12 O 0.7192 0.1885 0.2297  1 As 1.76, 1 Cu 1.92
13 O 0.7852 0.7852 0.4902  1 As 1.69
14 O 0.8115 0.2808 0.7703  1 As 1.76, 1 Cu 1.92
15 O 0.8216 0.8216 0.8490  1 As 1.73

(3)
The following is a PBE calculation of an optimized crystal structure of Cu4As3PbO12, from Materials Project.

Properties
ΔH_f (0 K) ... -1.3845 eV/atom
ρ ... 5.59 Mg/m³

a = 5.3028 Å, b = 8.5633 Å, c = 11.5199 Å
α = 90.47°, β = 90.10°, γ = 93.75°
Closest atoms and distances in Å follow each position.
Positions (direct):
1 Cu 0.0000 0.0000 0.0000  4 O 1.97-1.98
2 Cu 0.0000 0.5000 0.5000  4 O 1.92-2.00
3 Cu 0.2277 0.4498 0.0233  2 O 1.87-1.89
4 Cu 0.4657 0.4189 0.3205  5 O 1.95-2.15
5 Cu 0.4834 0.7950 0.1687  4 O 1.97-2.13
6 Cu 0.5166 0.2050 0.8313  4 O 1.97-2.13
7 Cu 0.5343 0.5811 0.6795  5 O 1.95-2.15
8 Cu 0.7723 0.5502 0.9767  2 O 1.87-1.89
9 As 0.0184 0.4029 0.7681  4 O 1.72-1.75
10 As 0.4586 0.8396 0.8894  4 O 1.71-1.77
11 As 0.4607 0.7706 0.4492  4 O 1.72-1.79
12 As 0.5393 0.2294 0.5508  4 O 1.72-1.79
13 As 0.5414 0.1604 0.1106  4 O 1.71-1.77
14 As 0.9816 0.5971 0.2319  4 O 1.72-1.75
15 Pb 0.0025 0.9591 0.6689  6 O 2.50-2.77
16 Pb 0.9975 0.0409 0.3311  6 O 2.50-2.77
17 O 0.1329 0.7814 0.2370  1 As 1.72
18 O 0.1752 0.4744 0.6443  1 As 1.75, 1 Cu 1.92
19 O 0.1971 0.4631 0.1865  1 As 1.75, 1 Cu 1.89
20 O 0.2214 0.1042 0.1185  1 As 1.74
21 O 0.2259 0.8908 0.4859  1 As 1.72
22 O 0.2645 0.3946 0.8671  1 As 1.74, 1 Cu 1.87
23 O 0.2839 0.0086 0.8882  1 As 1.77, 1 Cu 1.98
24 O 0.3114 0.5819 0.4173  1 As 1.79, 2 Cu 2.00
25 O 0.3249 0.2515 0.4411  1 As 1.72
26 O 0.3641 0.7336 0.0114  1 As 1.74
27 O 0.3658 0.7428 0.7641  1 As 1.71
28 O 0.3818 0.1595 0.6745  1 As 1.74
29 O 0.6182 0.8405 0.3255  1 As 1.74
30 O 0.6342 0.2572 0.2359  1 As 1.71
31 O 0.6359 0.2664 0.9886  1 As 1.74
32 O 0.6751 0.7485 0.5589  1 As 1.72
33 O 0.6886 0.4181 0.5827  1 As 1.79, 2 Cu 2.00
34 O 0.7161 0.9914 0.1118  1 As 1.77, 1 Cu 1.98
35 O 0.7355 0.6054 0.1329  1 As 1.74, 1 Cu 1.87
36 O 0.7741 0.1092 0.5141  1 As 1.72
37 O 0.7786 0.8958 0.8815  1 As 1.74
38 O 0.8029 0.5369 0.8135  1 As 1.75, 1 Cu 1.89
39 O 0.8248 0.5256 0.3557  1 As 1.75, 1 Cu 1.92
40 O 0.8671 0.2186 0.7630  1 As 1.72

(4)
The following is a PBE calculation of an optimized crystal structure of CuAs2PbO7, from Materials Project.

Properties
ΔH_f (0 K) ... -1.5715 eV/atom
ρ ... 5.52 Mg/m³

a = 5.7039 Å, b = 8.5101 Å, c = 14.1954 Å
α = 90.00°, β = 111.48°, γ = 90.00°
Closest atoms and distances in Å follow each position.
Positions (direct):
1 Cu 0.1761 0.1348 0.3824  4 O 1.97-2.03
2 Cu 0.1761 0.3652 0.8824  4 O 1.97-2.03
3 Cu 0.8239 0.6348 0.1176  4 O 1.97-2.03
4 Cu 0.8239 0.8652 0.6176  4 O 1.97-2.03
5 As 0.0924 0.5263 0.3406  4 O 1.70-1.77
6 As 0.0924 0.9737 0.8406  4 O 1.70-1.77
7 As 0.1656 0.6893 0.9927  4 O 1.69-1.81
8 As 0.1656 0.8107 0.4927  4 O 1.69-1.81
9 As 0.8344 0.1893 0.5073  4 O 1.69-1.81
10 As 0.8344 0.3107 0.0073  4 O 1.69-1.81
11 As 0.9076 0.0263 0.1594  4 O 1.70-1.77
12 As 0.9076 0.4737 0.6594  4 O 1.70-1.77
13 Pb 0.4787 0.6830 0.7736  6 O 2.52-2.74
14 Pb 0.4787 0.8170 0.2736  6 O 2.52-2.74
15 Pb 0.5213 0.1830 0.7264  6 O 2.52-2.74
16 Pb 0.5213 0.3170 0.2264  6 O 2.52-2.74
17 O 0.0029 0.6633 0.6541  1 As 1.71
18 O 0.0029 0.8367 0.1541  1 As 1.71
19 O 0.1385 0.1500 0.5150  1 As 1.73
20 O 0.1385 0.3500 0.0150  1 As 1.73
21 O 0.1723 0.6037 0.4644  2 As 1.77-1.81
22 O 0.1723 0.8963 0.9644  2 As 1.77-1.81
23 O 0.1740 0.1204 0.2394  1 As 1.73
24 O 0.1740 0.3796 0.7394  1 As 1.73
25 O 0.2195 0.5965 0.8944  1 As 1.73
26 O 0.2195 0.9035 0.3944  1 As 1.73
27 O 0.3447 0.5464 0.3051  1 As 1.70
28 O 0.3447 0.9536 0.8051  1 As 1.70
29 O 0.4055 0.6751 0.1062  1 As 1.69
30 O 0.4055 0.8249 0.6062  1 As 1.69
31 O 0.5945 0.1751 0.3938  1 As 1.69
32 O 0.5945 0.3249 0.8938  1 As 1.69
33 O 0.6553 0.0464 0.1949  1 As 1.70
34 O 0.6553 0.4536 0.6949  1 As 1.70
35 O 0.7805 0.0965 0.6056  1 As 1.73
36 O 0.7805 0.4035 0.1056  1 As 1.73
37 O 0.8260 0.6204 0.2606  1 As 1.73
38 O 0.8260 0.8796 0.7606  1 As 1.73
39 O 0.8277 0.1037 0.0356  2 As 1.77-1.81
40 O 0.8277 0.3963 0.5356  2 As 1.77-1.81
41 O 0.8615 0.6500 0.9850  1 As 1.73
42 O 0.8615 0.8500 0.4850  1 As 1.73
43 O 0.9971 0.1633 0.8459  1 As 1.71
44 O 0.9971 0.3367 0.3459  1 As 1.71

(5)
The following is a PBE calculation of an optimized crystal structure of CuSbAs2O7, from Materials Project.

Properties
ΔH_f (0 K) ... -1.3440 eV/atom
ρ ... 3.99 Mg/m³

a = 11.2740 Å, b = 12.7901 Å, c = 12.8035 Å
α = 78.80°, β = 63.94°, γ = 63.86°
Closest atoms and distances in Å follow each position.
Positions (direct):
1 Cu 0.1938 0.0485 0.0223  4 O 1.90-2.05
2 Cu 0.2154 0.9783 0.5502  4 O 1.91-2.06
3 Cu 0.2348 0.5503 0.5220  4 O 1.92-2.04
4 Cu 0.2385 0.5238 0.9545  4 O 1.87-2.00
5 Cu 0.7615 0.4762 0.0455  4 O 1.87-2.00
6 Cu 0.7652 0.4497 0.4780  4 O 1.92-2.04
7 Cu 0.7846 0.0217 0.4498  4 O 1.91-2.06
8 Cu 0.8062 0.9515 0.9777  4 O 1.90-2.05
9 Sb 0.0512 0.7376 0.1059  5 O 1.92-2.06
10 Sb 0.1584 0.8948 0.2369  5 O 1.94-2.06
11 Sb 0.2106 0.3956 0.7367  5 O 1.93-2.05
12 Sb 0.3953 0.7628 0.3949  5 O 1.93-2.06
13 Sb 0.6047 0.2372 0.6051  5 O 1.93-2.06
14 Sb 0.7894 0.6044 0.2633  5 O 1.93-2.05
15 Sb 0.8416 0.1052 0.7631  5 O 1.94-2.06
16 Sb 0.9488 0.2624 0.8941  5 O 1.92-2.06
17 As 0.0225 0.8348 0.5388  2 O 1.71-1.89
18 As 0.1046 0.3366 0.0406  1 O 1.71
19 As 0.1429 0.9602 0.8353  2 O 1.71-1.90
20 As 0.2519 0.4451 0.2920  3 O 1.76-1.84
21 As 0.3029 0.2083 0.4447  3 O 1.77-1.83
22 As 0.4398 0.5392 0.6650  2 O 1.70-1.90
23 As 0.4579 0.2920 0.0547  3 O 1.78-1.84
24 As 0.4882 0.0562 0.2078  3 O 1.76-1.83
25 As 0.5118 0.9438 0.7922  3 O 1.76-1.83
26 As 0.5421 0.7080 0.9453  3 O 1.78-1.84
27 As 0.5602 0.4608 0.3350  2 O 1.70-1.90
28 As 0.6971 0.7917 0.5553  3 O 1.77-1.83
29 As 0.7481 0.5549 0.7080  3 O 1.76-1.84
30 As 0.8571 0.0398 0.1647  2 O 1.71-1.90
31 As 0.8954 0.6634 0.9594  1 O 1.71
32 As 0.9775 0.1652 0.4612  2 O 1.71-1.89
33 O 0.0203 0.9332 0.4007  1 As 1.96, 1 Sb 1.98
34 O 0.0276 0.0310 0.1685  1 As 1.90, 1 Cu 2.05, 1 Sb 2.06
35 O 0.0464 0.0987 0.9332  1 As 1.96, 1 Sb 1.97
36 O 0.0617 0.6675 0.9683  1 As 1.95, 1 Cu 1.99, 1 Sb 2.06
37 O 0.0913 0.6947 0.4942  1 As 1.71
38 O 0.1109 0.7757 0.2125  2 Sb 1.94-1.98
39 O 0.1143 0.2867 0.7765  2 Sb 1.92-1.99
40 O 0.1414 0.4493 0.6130  1 Cu 1.92, 1 Sb 1.94
41 O 0.1454 0.4335 0.9013  1 As 1.96, 1 Sb 1.98
42 O 0.1958 0.8314 0.5302  1 As 1.89, 1 Cu 2.06, 1 Sb 2.06
43 O 0.2025 0.1252 0.4685  1 As 1.77, 1 Cu 1.94
44 O 0.2050 0.3254 0.3683  2 As 1.80-1.83
45 O 0.2132 0.0055 0.6954  1 As 1.71
46 O 0.2164 0.1969 0.9928  1 As 1.71
47 O 0.2435 0.6102 0.0531  1 Cu 1.87, 1 Sb 1.96
48 O 0.2742 0.5305 0.6676  1 As 1.90, 1 Cu 2.04, 1 Sb 2.05
49 O 0.2971 0.3760 0.0311  1 As 1.78, 1 Cu 1.93
50 O 0.2968 0.9482 0.1121  1 Cu 1.90, 1 Sb 1.94
51 O 0.3232 0.7865 0.2767  2 Sb 1.93-1.98
52 O 0.3286 0.4680 0.3749  1 As 1.76, 1 Cu 1.95
53 O 0.3293 0.9680 0.8749  1 As 1.76, 1 Cu 1.95
54 O 0.3973 0.1754 0.1310  2 As 1.81-1.84
55 O 0.4003 0.2766 0.7135  2 Sb 1.93-1.98
56 O 0.4089 0.8876 0.4489  1 Cu 1.91, 1 Sb 1.95
57 O 0.4127 0.4930 0.8045  1 As 1.70
58 O 0.4204 0.5990 0.4342  1 As 1.97, 1 Sb 1.98, 1 Cu 2.20
59 O 0.4267 0.3686 0.1745  2 As 1.80-1.84
60 O 0.4695 0.1312 0.3256  2 As 1.81-1.83
61 O 0.5305 0.8688 0.6744  2 As 1.81-1.83
62 O 0.5733 0.6314 0.8255  2 As 1.80-1.84
63 O 0.5796 0.4010 0.5658  1 As 1.97, 1 Sb 1.98, 1 Cu 2.20
64 O 0.5873 0.5070 0.1955  1 As 1.70
65 O 0.5911 0.1124 0.5511  1 Cu 1.91, 1 Sb 1.95
66 O 0.5997 0.7234 0.2865  2 Sb 1.93-1.98
67 O 0.6027 0.8246 0.8690  2 As 1.81-1.84
68 O 0.6707 0.0320 0.1251  1 As 1.76, 1 Cu 1.95
69 O 0.6714 0.5320 0.6251  1 As 1.76, 1 Cu 1.95
70 O 0.6768 0.2135 0.7233  2 Sb 1.93-1.98
71 O 0.7032 0.0518 0.8879  1 Cu 1.90, 1 Sb 1.94
72 O 0.7029 0.6240 0.9689  1 As 1.78, 1 Cu 1.93
73 O 0.7258 0.4695 0.3324  1 As 1.90, 1 Cu 2.04, 1 Sb 2.05
74 O 0.7565 0.3898 0.9469  1 Cu 1.87, 1 Sb 1.96
75 O 0.7836 0.8031 0.0072  1 As 1.71
76 O 0.7868 0.9945 0.3046  1 As 1.71
77 O 0.7950 0.6746 0.6317  2 As 1.80-1.83
78 O 0.7975 0.8748 0.5315  1 As 1.77, 1 Cu 1.94
79 O 0.8042 0.1686 0.4698  1 As 1.89, 1 Cu 2.06, 1 Sb 2.06
80 O 0.8546 0.5665 0.0987  1 As 1.96, 1 Sb 1.98
81 O 0.8586 0.5507 0.3870  1 Cu 1.92, 1 Sb 1.94
82 O 0.8857 0.7133 0.2235  2 Sb 1.92-1.99
83 O 0.8891 0.2243 0.7875  2 Sb 1.94-1.98
84 O 0.9087 0.3053 0.5058  1 As 1.71
85 O 0.9383 0.3325 0.0317  1 As 1.95, 1 Cu 1.99, 1 Sb 2.06
86 O 0.9536 0.9013 0.0668  1 As 1.96, 1 Sb 1.97
87 O 0.9724 0.9690 0.8315  1 As 1.90, 1 Cu 2.05, 1 Sb 2.06
88 O 0.9797 0.0668 0.5993  1 As 1.96, 1 Sb 1.98

Q: Which value of ρ does entry 4 give?
A: 5.52 Mg/m³